A plane-wave DFT calculation with PBE was carried out for a relaxed structure of RbNd2I5.

Results
Space group: P2_1/c
DFT formation energy in eV/atom: -1.46

Cell lengths 9.884, 8.788, 14.355 Å; angles 90.00, 90.50, 90.00 degrees
Fractional positions:
Rb (0.004, 0.061, 0.331)
Rb (0.004, 0.439, 0.831)
Rb (0.996, 0.561, 0.169)
Rb (0.996, 0.939, 0.669)
Nd (0.270, 0.586, 0.503)
Nd (0.270, 0.914, 0.003)
Nd (0.494, 0.563, 0.174)
Nd (0.494, 0.937, 0.674)
Nd (0.506, 0.063, 0.326)
Nd (0.506, 0.437, 0.826)
Nd (0.730, 0.086, 0.997)
Nd (0.730, 0.414, 0.497)
I (0.034, 0.170, 0.079)
I (0.034, 0.330, 0.579)
I (0.272, 0.676, 0.721)
I (0.272, 0.824, 0.221)
I (0.288, 0.540, 0.996)
I (0.288, 0.960, 0.496)
I (0.289, 0.147, 0.819)
I (0.289, 0.353, 0.319)
I (0.455, 0.168, 0.105)
I (0.455, 0.332, 0.605)
I (0.545, 0.668, 0.395)
I (0.545, 0.832, 0.895)
I (0.711, 0.647, 0.681)
I (0.711, 0.853, 0.181)
I (0.712, 0.040, 0.504)
I (0.712, 0.460, 0.004)
I (0.728, 0.176, 0.779)
I (0.728, 0.324, 0.279)
I (0.966, 0.670, 0.421)
I (0.966, 0.830, 0.921)

A plane-wave DFT calculation with PBE was carried out for a relaxed structure of Pr2Ni2I.

Results
Space group: P6_3/mmc
DFT formation energy in eV/atom: -0.76

Cell lengths 4.090, 4.090, 17.537 Å; angles 90.00, 90.00, 120.00 degrees
Fractional positions:
Pr (0.000, 0.000, 0.106)
Pr (0.000, 0.000, 0.394)
Pr (0.000, 0.000, 0.606)
Pr (0.000, 0.000, 0.894)
Ni (0.333, 0.667, 0.001)
Ni (0.333, 0.667, 0.499)
Ni (0.667, 0.333, 0.501)
Ni (0.667, 0.333, 0.999)
I (0.333, 0.667, 0.750)
I (0.667, 0.333, 0.250)

A plane-wave DFT calculation with PBE was carried out for a relaxed structure of NpI3.

Results
Space group: Cmcm
DFT formation energy in eV/atom: -1.21

Cell lengths 7.938, 7.938, 9.950 Å; angles 90.00, 90.00, 148.85 degrees
Fractional positions:
Np (0.239, 0.761, 0.750)
Np (0.761, 0.239, 0.250)
I (0.155, 0.845, 0.068)
I (0.155, 0.845, 0.432)
I (0.409, 0.591, 0.250)
I (0.591, 0.409, 0.750)
I (0.845, 0.155, 0.568)
I (0.845, 0.155, 0.932)

A plane-wave DFT calculation with PBE was carried out for a relaxed structure of NpI4O12.

Results
Space group: P4_2/n
DFT formation energy in eV/atom: -1.27

Cell lengths 10.191, 10.191, 5.366 Å; angles 90.00, 90.00, 90.00 degrees
Fractional positions:
Np (0.250, 0.250, 0.250)
Np (0.750, 0.750, 0.750)
I (0.022, 0.748, 0.219)
I (0.248, 0.978, 0.719)
I (0.252, 0.522, 0.719)
I (0.478, 0.752, 0.219)
I (0.522, 0.248, 0.781)
I (0.748, 0.478, 0.281)
I (0.752, 0.022, 0.281)
I (0.978, 0.252, 0.781)
O (0.059, 0.328, 0.053)
O (0.099, 0.322, 0.555)
O (0.130, 0.848, 0.755)
O (0.152, 0.630, 0.255)
O (0.172, 0.059, 0.447)
O (0.178, 0.099, 0.945)
O (0.322, 0.401, 0.945)
O (0.328, 0.441, 0.447)
O (0.348, 0.870, 0.255)
O (0.370, 0.652, 0.755)
O (0.401, 0.178, 0.555)
O (0.441, 0.172, 0.053)
O (0.559, 0.828, 0.947)
O (0.599, 0.822, 0.445)
O (0.630, 0.348, 0.245)
O (0.652, 0.130, 0.745)
O (0.672, 0.559, 0.553)
O (0.678, 0.599, 0.055)
O (0.822, 0.901, 0.055)
O (0.828, 0.941, 0.553)
O (0.848, 0.370, 0.745)
O (0.870, 0.152, 0.245)
O (0.901, 0.678, 0.445)
O (0.941, 0.672, 0.947)

A plane-wave DFT calculation with PBE was carried out for a relaxed structure of NpI2O6.

Results
Space group: P4_2/n
DFT formation energy in eV/atom: -1.71

Cell lengths 12.976, 12.976, 5.267 Å; angles 90.00, 90.00, 90.00 degrees
Fractional positions:
Np (0.000, 0.000, 0.000)
Np (0.000, 0.500, 0.500)
Np (0.500, 0.000, 0.500)
Np (0.500, 0.500, 0.000)
I (0.014, 0.229, 0.496)
I (0.229, 0.486, 0.004)
I (0.271, 0.014, 0.004)
I (0.486, 0.271, 0.496)
I (0.514, 0.729, 0.504)
I (0.729, 0.986, 0.996)
I (0.771, 0.514, 0.996)
I (0.986, 0.771, 0.504)
O (0.027, 0.647, 0.688)
O (0.033, 0.866, 0.748)
O (0.071, 0.085, 0.767)
O (0.085, 0.429, 0.733)
O (0.134, 0.533, 0.248)
O (0.147, 0.973, 0.188)
O (0.353, 0.527, 0.188)
O (0.366, 0.967, 0.248)
O (0.415, 0.071, 0.733)
O (0.429, 0.415, 0.767)
O (0.467, 0.634, 0.748)
O (0.473, 0.853, 0.688)
O (0.527, 0.147, 0.312)
O (0.533, 0.366, 0.252)
O (0.571, 0.585, 0.233)
O (0.585, 0.929, 0.267)
O (0.634, 0.033, 0.752)
O (0.647, 0.473, 0.812)
O (0.853, 0.027, 0.812)
O (0.866, 0.467, 0.752)
O (0.915, 0.571, 0.267)
O (0.929, 0.915, 0.233)
O (0.967, 0.134, 0.252)
O (0.973, 0.353, 0.312)

A plane-wave DFT calculation with PBE was carried out for a relaxed structure of NpIO5.

Results
Space group: Pna2_1
DFT formation energy in eV/atom: -2.12

Cell lengths 14.000, 6.044, 5.650 Å; angles 90.00, 90.00, 90.00 degrees
Fractional positions:
Np (0.029, 0.248, 0.000)
Np (0.471, 0.748, 0.500)
Np (0.529, 0.252, 0.000)
Np (0.971, 0.752, 0.500)
I (0.217, 0.509, 0.496)
I (0.283, 0.009, 0.996)
I (0.717, 0.991, 0.496)
I (0.783, 0.491, 0.996)
O (0.011, 0.003, 0.197)
O (0.045, 0.490, 0.787)
O (0.140, 0.742, 0.423)
O (0.174, 0.311, 0.274)
O (0.176, 0.105, 0.838)
O (0.324, 0.605, 0.338)
O (0.326, 0.811, 0.774)
O (0.360, 0.242, 0.923)
O (0.455, 0.990, 0.287)
O (0.489, 0.503, 0.697)
O (0.511, 0.497, 0.197)
O (0.545, 0.010, 0.787)
O (0.640, 0.758, 0.423)
O (0.674, 0.189, 0.274)
O (0.676, 0.395, 0.838)
O (0.824, 0.895, 0.338)
O (0.826, 0.689, 0.774)
O (0.860, 0.258, 0.923)
O (0.955, 0.510, 0.287)
O (0.989, 0.997, 0.697)

A plane-wave DFT calculation with PBE was carried out for a relaxed structure of Np2I2O.

Results
Space group: P4/mmm
DFT formation energy in eV/atom: -0.58

Cell lengths 3.743, 3.743, 15.146 Å; angles 90.00, 90.00, 90.00 degrees
Fractional positions:
Np (0.000, 0.000, 0.136)
Np (0.000, 0.000, 0.864)
I (0.000, 0.000, 0.327)
I (0.000, 0.000, 0.673)
O (0.000, 0.000, 0.000)

A plane-wave DFT calculation with PBE was carried out for a relaxed structure of IO2.

Results
Space group: P2_1/c
DFT formation energy in eV/atom: -0.70

Cell lengths 8.148, 7.012, 8.334 Å; angles 90.00, 117.00, 90.00 degrees
Fractional positions:
I (0.141, 0.121, 0.316)
I (0.141, 0.379, 0.816)
I (0.305, 0.742, 0.148)
I (0.305, 0.758, 0.648)
I (0.695, 0.242, 0.352)
I (0.695, 0.258, 0.852)
I (0.859, 0.621, 0.184)
I (0.859, 0.879, 0.684)
O (0.053, 0.744, 0.512)
O (0.053, 0.756, 0.012)
O (0.301, 0.044, 0.562)
O (0.301, 0.456, 0.062)
O (0.306, 0.039, 0.220)
O (0.306, 0.461, 0.720)
O (0.311, 0.652, 0.354)
O (0.311, 0.848, 0.854)
O (0.689, 0.152, 0.146)
O (0.689, 0.348, 0.646)
O (0.694, 0.539, 0.280)
O (0.694, 0.961, 0.780)
O (0.699, 0.544, 0.938)
O (0.699, 0.956, 0.438)
O (0.947, 0.244, 0.988)
O (0.947, 0.256, 0.488)

A plane-wave DFT calculation with PBE was carried out for a relaxed structure of I2O5.

Results
Space group: P2_1/c
DFT formation energy in eV/atom: -0.76

Cell lengths 11.138, 5.221, 8.463 Å; angles 90.00, 107.26, 90.00 degrees
Fractional positions:
I (0.127, 0.112, 0.220)
I (0.127, 0.388, 0.720)
I (0.373, 0.677, 0.164)
I (0.373, 0.823, 0.664)
I (0.627, 0.177, 0.336)
I (0.627, 0.323, 0.836)
I (0.873, 0.612, 0.280)
I (0.873, 0.888, 0.780)
O (0.011, 0.649, 0.659)
O (0.011, 0.851, 0.159)
O (0.197, 0.036, 0.435)
O (0.197, 0.464, 0.935)
O (0.248, 0.538, 0.622)
O (0.248, 0.962, 0.122)
O (0.308, 0.007, 0.798)
O (0.308, 0.493, 0.298)
O (0.489, 0.643, 0.833)
O (0.489, 0.857, 0.333)
O (0.511, 0.143, 0.667)
O (0.511, 0.357, 0.167)
O (0.692, 0.507, 0.702)
O (0.692, 0.993, 0.202)
O (0.752, 0.038, 0.878)
O (0.752, 0.462, 0.378)
O (0.803, 0.536, 0.065)
O (0.803, 0.964, 0.565)
O (0.989, 0.149, 0.841)
O (0.989, 0.351, 0.341)

A plane-wave DFT calculation with PBE was carried out for a relaxed structure of PPb2IO4.

Results
Space group: P2_1/c
DFT formation energy in eV/atom: -2.03

Cell lengths 9.231, 8.863, 8.714 Å; angles 90.00, 111.68, 90.00 degrees
Fractional positions:
P (0.042, 0.051, 0.233)
P (0.042, 0.449, 0.733)
P (0.958, 0.551, 0.267)
P (0.958, 0.949, 0.767)
Pb (0.155, 0.700, 0.046)
Pb (0.155, 0.800, 0.546)
Pb (0.266, 0.174, 0.970)
Pb (0.266, 0.326, 0.470)
Pb (0.734, 0.674, 0.530)
Pb (0.734, 0.826, 0.030)
Pb (0.845, 0.200, 0.454)
Pb (0.845, 0.300, 0.954)
I (0.499, 0.066, 0.747)
I (0.499, 0.434, 0.247)
I (0.501, 0.566, 0.753)
I (0.501, 0.934, 0.253)
O (0.086, 0.092, 0.419)
O (0.086, 0.408, 0.919)
O (0.087, 0.616, 0.724)
O (0.087, 0.884, 0.224)
O (0.122, 0.166, 0.155)
O (0.122, 0.334, 0.655)
O (0.139, 0.570, 0.357)
O (0.139, 0.930, 0.857)
O (0.861, 0.070, 0.143)
O (0.861, 0.430, 0.643)
O (0.878, 0.666, 0.345)
O (0.878, 0.834, 0.845)
O (0.913, 0.116, 0.776)
O (0.913, 0.384, 0.276)
O (0.914, 0.592, 0.081)
O (0.914, 0.908, 0.581)

A plane-wave DFT calculation with PBE was carried out for a relaxed structure of P3Pb5IO12.

Results
Space group: P6_3/m
DFT formation energy in eV/atom: -2.20

Cell lengths 10.389, 10.389, 7.478 Å; angles 90.00, 90.00, 120.00 degrees
Fractional positions:
P (0.040, 0.414, 0.250)
P (0.375, 0.960, 0.250)
P (0.414, 0.375, 0.750)
P (0.586, 0.625, 0.250)
P (0.625, 0.040, 0.750)
P (0.960, 0.586, 0.750)
Pb (0.018, 0.743, 0.250)
Pb (0.257, 0.275, 0.250)
Pb (0.275, 0.018, 0.750)
Pb (0.333, 0.667, 0.505)
Pb (0.333, 0.667, 0.995)
Pb (0.667, 0.333, 0.005)
Pb (0.667, 0.333, 0.495)
Pb (0.725, 0.982, 0.250)
Pb (0.743, 0.725, 0.750)
Pb (0.982, 0.257, 0.750)
I (0.000, 0.000, 0.000)
I (0.000, 0.000, 0.500)
O (0.094, 0.366, 0.081)
O (0.094, 0.366, 0.419)
O (0.129, 0.643, 0.750)
O (0.131, 0.592, 0.250)
O (0.273, 0.906, 0.081)
O (0.273, 0.906, 0.419)
O (0.357, 0.487, 0.750)
O (0.366, 0.273, 0.581)
O (0.366, 0.273, 0.919)
O (0.408, 0.539, 0.250)
O (0.461, 0.869, 0.250)
O (0.487, 0.129, 0.250)
O (0.513, 0.871, 0.750)
O (0.539, 0.131, 0.750)
O (0.592, 0.461, 0.750)
O (0.634, 0.727, 0.081)
O (0.634, 0.727, 0.419)
O (0.643, 0.513, 0.250)
O (0.727, 0.094, 0.581)
O (0.727, 0.094, 0.919)
O (0.869, 0.408, 0.750)
O (0.871, 0.357, 0.250)
O (0.906, 0.634, 0.581)
O (0.906, 0.634, 0.919)

A plane-wave DFT calculation with PBE was carried out for a relaxed structure of Pb2IO2.

Results
Space group: I4/mmm
DFT formation energy in eV/atom: -1.18

Cell lengths 7.523, 7.523, 7.523 Å; angles 148.51, 148.51, 45.13 degrees
Fractional positions:
Pb (0.163, 0.163, 0.000)
Pb (0.837, 0.837, 0.000)
I (0.500, 0.500, 0.000)
O (0.250, 0.750, 0.500)
O (0.750, 0.250, 0.500)

A plane-wave DFT calculation with PBE was carried out for a relaxed structure of Pb3I2O2.

Results
Space group: Pnma
DFT formation energy in eV/atom: -1.17

Cell lengths 18.354, 6.043, 7.741 Å; angles 90.00, 90.00, 90.00 degrees
Fractional positions:
Pb (0.027, 0.250, 0.147)
Pb (0.106, 0.250, 0.713)
Pb (0.160, 0.750, 0.022)
Pb (0.340, 0.250, 0.522)
Pb (0.394, 0.750, 0.213)
Pb (0.473, 0.750, 0.647)
Pb (0.527, 0.250, 0.353)
Pb (0.606, 0.250, 0.787)
Pb (0.660, 0.750, 0.478)
Pb (0.840, 0.250, 0.978)
Pb (0.894, 0.750, 0.287)
Pb (0.973, 0.750, 0.853)
I (0.064, 0.750, 0.403)
I (0.242, 0.250, 0.174)
I (0.258, 0.750, 0.674)
I (0.436, 0.250, 0.903)
I (0.564, 0.750, 0.097)
I (0.742, 0.250, 0.326)
I (0.758, 0.750, 0.826)
I (0.936, 0.250, 0.597)
O (0.075, 0.000, 0.918)
O (0.075, 0.500, 0.918)
O (0.425, 0.000, 0.418)
O (0.425, 0.500, 0.418)
O (0.575, 0.000, 0.582)
O (0.575, 0.500, 0.582)
O (0.925, 0.000, 0.082)
O (0.925, 0.500, 0.082)